Record 1
The following is a DFT calculation (PBE with a Hubbard U) of a geometry-optimized LiFeSiO4 structure.

Values from the calculation:
The energy of formation from the pure elements comes out at -2.4862 eV per atom. For the distance to the lowest polymorph of the same formula, the calculation gives 51 meV per atom. As for the space group: No. 33. As for the corrected total energy (MP2020 scheme): -7.57 eV per atom.

abc: 5.136 6.437 10.845
angles: 90.00 90.00 90.00
Element x y z (fractional)
1 Si 0.763 0.017 0.673
2 Si 0.263 0.517 0.827
3 Si 0.763 0.483 0.173
4 Si 0.263 0.983 0.327
5 Li 0.263 0.014 0.833
6 Li 0.263 0.486 0.333
7 Li 0.763 0.514 0.667
8 Li 0.763 0.986 0.167
9 Fe 0.262 0.776 0.585
10 Fe 0.262 0.724 0.085
11 Fe 0.762 0.276 0.915
12 Fe 0.762 0.224 0.415
13 O 0.126 0.195 0.384
14 O 0.082 0.985 0.673
15 O 0.626 0.695 0.116
16 O 0.698 0.275 0.087
17 O 0.582 0.485 0.827
18 O 0.198 0.725 0.913
19 O 0.154 0.952 0.185
20 O 0.626 0.805 0.616
21 O 0.582 0.015 0.327
22 O 0.654 0.048 0.815
23 O 0.082 0.515 0.173
24 O 0.698 0.225 0.587
25 O 0.126 0.305 0.884
26 O 0.154 0.548 0.685
27 O 0.654 0.452 0.315
28 O 0.198 0.775 0.413



Record 2
The following is a DFT calculation (PBE with a Hubbard U) of a geometry-optimized LiFe2Si2O8 structure.

Values from the calculation:
The energy of formation from the pure elements comes out at -2.3364 eV per atom. For the distance to the lowest polymorph of the same formula, the calculation gives 1 meV per atom. As for the space group: No. 1. As for the corrected total energy (MP2020 scheme): -7.67 eV per atom.

abc: 8.772 8.786 8.790
angles: 108.59 107.99 107.43
Element x y z (fractional)
1 O 0.964 0.962 0.288
2 O 0.061 0.080 0.755
3 O 0.675 0.366 0.334
4 O 0.738 0.030 0.059
5 O 0.350 0.670 0.683
6 O 0.656 0.601 0.933
7 O 0.034 0.305 0.364
8 O 0.594 0.270 0.896
9 O 0.747 0.086 0.376
10 O 0.258 0.902 0.583
11 O 0.902 0.577 0.255
12 O 0.077 0.743 0.065
13 O 0.665 0.350 0.659
14 O 0.279 0.943 0.958
15 O 0.379 0.036 0.311
16 O 0.397 0.753 0.088
17 O 0.589 0.937 0.672
18 O 0.079 0.383 0.747
19 O 0.316 0.654 0.365
20 O 0.302 0.387 0.040
21 O 0.666 0.666 0.344
22 O 0.961 0.286 0.968
23 O 0.946 0.675 0.595
24 O 0.354 0.315 0.650
25 Li 0.233 0.056 0.456
26 Li 0.537 0.773 0.939
27 Li 0.061 0.458 0.232
28 Fe 0.893 0.719 0.130
29 Fe 0.136 0.902 0.730
30 Fe 0.435 0.622 0.217
31 Fe 0.722 0.134 0.898
32 Fe 0.201 0.428 0.613
33 Fe 0.621 0.211 0.429
34 Si 0.098 0.283 0.875
35 Si 0.565 0.387 0.786
36 Si 0.379 0.790 0.574
37 Si 0.873 0.100 0.270
38 Si 0.799 0.572 0.384
39 Si 0.279 0.869 0.105



Record 3
The following is a DFT calculation (PBE with a Hubbard U) of a geometry-optimized Li2FeSiO4 structure.

Values from the calculation:
The energy of formation from the pure elements comes out at -2.5578 eV per atom. For the distance to the lowest polymorph of the same formula, the calculation gives 5 meV per atom. As for the space group: No. 33. As for the corrected total energy (MP2020 scheme): -7.25 eV per atom.

abc: 5.058 6.296 11.011
angles: 90.00 90.00 90.00
Element x y z (fractional)
1 O 0.432 0.751 0.588
2 O 0.368 0.247 0.054
3 O 0.932 0.251 0.912
4 O 0.932 0.249 0.412
5 O 0.368 0.253 0.554
6 O 0.358 0.036 0.838
7 O 0.864 0.529 0.156
8 O 0.364 0.029 0.344
9 O 0.358 0.464 0.338
10 O 0.868 0.753 0.946
11 O 0.364 0.471 0.844
12 O 0.858 0.964 0.162
13 O 0.432 0.749 0.088
14 O 0.858 0.536 0.662
15 O 0.864 0.971 0.656
16 O 0.868 0.747 0.446
17 Li 0.265 0.751 0.423
18 Li 0.765 0.251 0.077
19 Li 0.264 0.497 0.159
20 Li 0.764 0.503 0.841
21 Li 0.764 0.997 0.341
22 Li 0.265 0.749 0.923
23 Li 0.765 0.249 0.577
24 Li 0.264 0.003 0.659
25 Fe 0.263 0.490 0.667
26 Fe 0.263 0.010 0.167
27 Fe 0.763 0.990 0.833
28 Fe 0.763 0.510 0.333
29 Si 0.758 0.751 0.588
30 Si 0.758 0.749 0.088
31 Si 0.258 0.249 0.412
32 Si 0.258 0.251 0.912



Record 4
The following is a DFT calculation (PBE with a Hubbard U) of a geometry-optimized LiFeSiO4 structure.

Values from the calculation:
The energy of formation from the pure elements comes out at -2.5102 eV per atom. For the distance to the lowest polymorph of the same formula, the calculation gives 27 meV per atom. The piezoelectric modulus e_max is 0.108 C/m2. As for the corrected total energy (MP2020 scheme): -7.60 eV per atom.

abc: 5.413 24.235 5.413
angles: 90.00 120.00 90.00
Element x y z (fractional)
1 O 0.788 0.296 0.603
2 O 0.185 0.037 0.397
3 O 0.603 0.371 0.788
4 O 0.788 0.704 0.185
5 O 0.815 0.963 0.212
6 O 0.212 0.204 0.815
7 O 0.212 0.296 0.397
8 O 0.603 0.129 0.815
9 O 0.603 0.871 0.788
10 O 0.185 0.963 0.788
11 O 0.185 0.537 0.397
12 O 0.815 0.463 0.212
13 O 0.212 0.796 0.397
14 O 0.397 0.129 0.185
15 O 0.397 0.629 0.185
16 O 0.603 0.629 0.815
17 O 0.815 0.037 0.603
18 O 0.788 0.204 0.185
19 O 0.185 0.463 0.788
20 O 0.397 0.371 0.212
21 O 0.815 0.537 0.603
22 O 0.212 0.704 0.815
23 O 0.788 0.796 0.603
24 O 0.397 0.871 0.212
25 Si 0.500 0.333 0.500
26 Si 0.000 0.000 0.500
27 Si 0.500 0.833 0.500
28 Si 0.000 0.500 0.500
29 Si 0.500 0.167 0.000
30 Si 0.500 0.667 0.000
31 Fe 0.500 0.583 0.500
32 Fe 0.500 0.917 0.000
33 Fe 0.000 0.750 0.500
34 Fe 0.500 0.417 0.000
35 Fe 0.500 0.083 0.500
36 Fe 0.000 0.250 0.500
37 Li 0.000 0.167 0.000
38 Li 0.000 0.667 0.000
39 Li 0.000 0.833 0.000
40 Li 0.000 0.500 0.000
41 Li 0.000 0.333 0.000
42 Li 0.000 0.000 0.000



Record 5
The following is a DFT calculation (PBE with a Hubbard U) of a geometry-optimized LiFeSiO4 structure.

Values from the calculation:
The energy of formation from the pure elements comes out at -2.4792 eV per atom. For the distance to the lowest polymorph of the same formula, the calculation gives 58 meV per atom. As for the space group: No. 14. As for the corrected total energy (MP2020 scheme): -7.56 eV per atom.

abc: 10.173 5.205 8.482
angles: 53.68 90.00 90.00
Element x y z (fractional)
1 Si 0.814 0.202 0.990
2 Si 0.186 0.798 0.010
3 Si 0.686 0.202 0.490
4 Si 0.314 0.798 0.510
5 Li 0.640 0.714 0.981
6 Li 0.140 0.286 0.519
7 Li 0.860 0.714 0.481
8 Li 0.360 0.286 0.019
9 Fe 0.910 0.496 0.202
10 Fe 0.590 0.496 0.702
11 Fe 0.090 0.504 0.798
12 Fe 0.410 0.504 0.298
13 O 0.092 0.560 0.204
14 O 0.623 0.154 0.684
15 O 0.336 0.642 0.051
16 O 0.664 0.358 0.949
17 O 0.164 0.642 0.551
18 O 0.694 0.855 0.527
19 O 0.592 0.440 0.296
20 O 0.377 0.846 0.316
21 O 0.306 0.145 0.473
22 O 0.123 0.846 0.816
23 O 0.194 0.145 0.973
24 O 0.408 0.560 0.704
25 O 0.836 0.358 0.449
26 O 0.806 0.855 0.027
27 O 0.908 0.440 0.796
28 O 0.877 0.154 0.184



Record 6
The following is a DFT calculation (PBE with a Hubbard U) of a geometry-optimized LiFeSiO4 structure.

Values from the calculation:
The energy of formation from the pure elements comes out at -2.4862 eV per atom. For the distance to the lowest polymorph of the same formula, the calculation gives 51 meV per atom. As for the space group: No. 173. As for the corrected total energy (MP2020 scheme): -7.57 eV per atom.

abc: 8.794 8.790 8.500
angles: 90.01 90.01 120.01
Element x y z (fractional)
1 Fe 0.690 0.655 0.898
2 Fe 0.310 0.345 0.398
3 Fe 0.345 0.035 0.898
4 Fe 0.965 0.310 0.898
5 Fe 0.035 0.690 0.398
6 Fe 0.655 0.965 0.398
7 Si 0.644 0.960 0.020
8 Si 0.316 0.356 0.019
9 Si 0.040 0.684 0.020
10 Si 0.960 0.316 0.520
11 Si 0.684 0.644 0.519
12 Si 0.356 0.040 0.519
13 O 0.783 0.580 0.391
14 O 0.204 0.783 0.891
15 O 0.865 0.280 0.694
16 O 0.135 0.720 0.194
17 O 0.216 0.420 0.892
18 O 0.085 0.525 0.485
19 O 0.420 0.204 0.392
20 O 0.720 0.585 0.694
21 O 0.525 0.441 0.985
22 O 0.415 0.135 0.694
23 O 0.910 0.769 0.009
24 O 0.090 0.232 0.509
25 O 0.859 0.091 0.009
26 O 0.915 0.475 0.985
27 O 0.768 0.859 0.509
28 O 0.441 0.915 0.485
29 O 0.280 0.415 0.194
30 O 0.560 0.085 0.985
31 O 0.232 0.141 0.009
32 O 0.475 0.559 0.485
33 O 0.141 0.910 0.509
34 O 0.585 0.865 0.194
35 O 0.796 0.216 0.392
36 O 0.580 0.796 0.892
37 Li 0.000 0.000 0.068
38 Li 0.333 0.667 0.235
39 Li 0.667 0.333 0.310
40 Li 0.667 0.333 0.734
41 Li 0.000 0.000 0.568
42 Li 0.333 0.667 0.810



Record 7
The following is a DFT calculation (PBE with a Hubbard U) of a geometry-optimized Li2FeSi3O8 structure.

Values from the calculation:
The energy of formation from the pure elements comes out at -2.7900 eV per atom. For the distance to the lowest polymorph of the same formula, the calculation gives 17 meV per atom. As for the space group: No. 4. As for the corrected total energy (MP2020 scheme): -7.66 eV per atom.

abc: 6.928 10.042 5.096
angles: 90.00 91.01 90.00
Element x y z (fractional)
1 O 0.147 0.372 0.936
2 O 0.447 0.840 0.073
3 O 0.531 0.165 0.766
4 O 0.720 0.932 0.747
5 O 0.433 0.348 0.300
6 O 0.241 0.569 0.287
7 O 0.969 0.665 0.734
8 O 0.780 0.432 0.753
9 O 0.750 0.609 0.157
10 O 0.067 0.848 0.200
11 O 0.353 0.872 0.564
12 O 0.053 0.340 0.427
13 O 0.588 0.677 0.703
14 O 0.912 0.177 0.797
15 O 0.259 0.069 0.213
16 O 0.750 0.109 0.343
17 Si 0.779 0.595 0.846
18 Si 0.975 0.333 0.727
19 Si 0.721 0.095 0.654
20 Si 0.276 0.911 0.260
21 Si 0.224 0.411 0.240
22 Si 0.525 0.833 0.773
23 Li 0.501 0.636 0.309
24 Li 0.989 0.845 0.841
25 Li 0.999 0.136 0.191
26 Li 0.511 0.345 0.659
27 Fe 0.997 0.668 0.341
28 Fe 0.503 0.168 0.159



Record 8
The following is a DFT calculation (PBE with a Hubbard U) of a geometry-optimized LiFeSiO4 structure.

Values from the calculation:
The energy of formation from the pure elements comes out at -2.5062 eV per atom. For the distance to the lowest polymorph of the same formula, the calculation gives 31 meV per atom. As for the space group: No. 63. As for the corrected total energy (MP2020 scheme): -7.59 eV per atom.

abc: 4.957 4.957 6.237
angles: 90.00 90.00 67.15
Element x y z (fractional)
1 O 0.268 0.786 0.250
2 O 0.265 0.265 0.464
3 O 0.732 0.214 0.750
4 O 0.214 0.732 0.750
5 O 0.735 0.735 0.536
6 O 0.735 0.735 0.964
7 O 0.786 0.268 0.250
8 O 0.265 0.265 0.036
9 Li 0.170 0.170 0.750
10 Li 0.830 0.830 0.250
11 Fe 0.500 0.500 0.500
12 Fe 0.500 0.500 0.000
13 Si 0.153 0.153 0.250
14 Si 0.847 0.847 0.750



Record 9
The following is a DFT calculation (PBE with a Hubbard U) of a geometry-optimized LiFeSi2O6 structure.

Values from the calculation:
The energy of formation from the pure elements comes out at -2.7559 eV per atom. For the distance to the lowest polymorph of the same formula, the calculation gives 0 meV per atom. As for the space group: No. 14. As for the corrected total energy (MP2020 scheme): -7.85 eV per atom.

abc: 8.802 5.335 9.374
angles: 78.07 90.00 90.00
Element x y z (fractional)
1 O 0.166 0.794 0.867
2 O 0.836 0.772 0.366
3 O 0.503 0.771 0.378
4 O 0.229 0.581 0.397
5 O 0.507 0.198 0.118
6 O 0.666 0.706 0.133
7 O 0.729 0.919 0.603
8 O 0.664 0.272 0.366
9 O 0.007 0.302 0.882
10 O 0.771 0.419 0.603
11 O 0.493 0.802 0.882
12 O 0.271 0.081 0.397
13 O 0.497 0.229 0.622
14 O 0.164 0.228 0.634
15 O 0.993 0.698 0.118
16 O 0.266 0.474 0.107
17 O 0.997 0.271 0.378
18 O 0.234 0.974 0.107
19 O 0.003 0.729 0.622
20 O 0.834 0.206 0.133
21 O 0.336 0.728 0.634
22 O 0.334 0.294 0.867
23 O 0.734 0.526 0.893
24 O 0.766 0.026 0.893
25 Si 0.839 0.271 0.952
26 Si 0.839 0.709 0.547
27 Si 0.161 0.291 0.453
28 Si 0.661 0.209 0.547
29 Si 0.161 0.729 0.048
30 Si 0.661 0.771 0.952
31 Si 0.339 0.229 0.048
32 Si 0.339 0.791 0.453
33 Li 0.497 0.491 0.248
34 Li 0.003 0.991 0.248
35 Li 0.503 0.509 0.752
36 Li 0.997 0.009 0.752
37 Fe 0.147 0.512 0.750
38 Fe 0.353 0.012 0.750
39 Fe 0.647 0.988 0.250
40 Fe 0.853 0.488 0.250



Record 10
The following is a DFT calculation (PBE with a Hubbard U) of a geometry-optimized Li3FeSi2O7 structure.

Values from the calculation:
The energy of formation from the pure elements comes out at -2.6667 eV per atom. For the distance to the lowest polymorph of the same formula, the calculation gives 0 meV per atom. As for the space group: No. 173. As for the corrected total energy (MP2020 scheme): -7.26 eV per atom.

abc: 8.621 8.621 13.045
angles: 90.00 90.00 120.00
Element x y z (fractional)
1 O 0.566 0.870 0.233
2 O 0.133 0.926 0.627
3 O 0.926 0.794 0.127
4 O 0.206 0.133 0.127
5 O 0.130 0.696 0.233
6 O 0.304 0.434 0.233
7 O 0.757 0.569 0.536
8 O 0.794 0.867 0.627
9 O 0.243 0.431 0.036
10 O 0.870 0.304 0.733
11 O 0.580 0.119 0.106
12 O 0.812 0.243 0.536
13 O 0.133 0.930 0.841
14 O 0.812 0.242 0.931
15 O 0.461 0.580 0.606
16 O 0.570 0.812 0.431
17 O 0.867 0.074 0.127
18 O 0.419 0.881 0.860
19 O 0.930 0.797 0.341
20 O 0.867 0.070 0.341
21 O 0.203 0.133 0.341
22 O 0.431 0.188 0.536
23 O 0.430 0.188 0.931
24 O 0.462 0.581 0.860
25 O 0.070 0.203 0.841
26 O 0.119 0.539 0.606
27 O 0.581 0.119 0.360
28 O 0.188 0.757 0.036
29 O 0.119 0.538 0.860
30 O 0.797 0.867 0.841
31 O 0.758 0.570 0.931
32 O 0.539 0.420 0.106
33 O 0.074 0.206 0.627
34 O 0.569 0.812 0.036
35 O 0.420 0.881 0.606
36 O 0.188 0.758 0.431
37 O 0.696 0.566 0.733
38 O 0.242 0.430 0.431
39 O 0.434 0.130 0.733
40 O 0.881 0.461 0.106
41 O 0.538 0.419 0.360
42 O 0.881 0.462 0.360
43 Li 0.668 0.976 0.566
44 Li 0.025 0.691 0.897
45 Li 0.333 0.667 0.218
46 Li 0.000 0.000 0.461
47 Li 0.667 0.333 0.233
48 Li 0.691 0.666 0.397
49 Li 0.024 0.692 0.566
50 Li 0.666 0.975 0.897
51 Li 0.975 0.309 0.397
52 Li 0.334 0.025 0.397
53 Li 0.000 0.000 0.961
54 Li 0.309 0.334 0.897
55 Li 0.667 0.333 0.718
56 Li 0.692 0.668 0.066
57 Li 0.976 0.308 0.066
58 Li 0.333 0.667 0.733
59 Li 0.308 0.332 0.566
60 Li 0.332 0.024 0.066
61 Fe 0.333 0.667 0.956
62 Fe 0.667 0.333 0.456
63 Fe 0.667 0.333 0.009
64 Fe 0.333 0.667 0.509
65 Fe 0.000 0.000 0.230
66 Fe 0.000 0.000 0.730
67 Si 0.648 0.974 0.345
68 Si 0.976 0.326 0.621
69 Si 0.351 0.024 0.621
70 Si 0.326 0.351 0.121
71 Si 0.352 0.026 0.845
72 Si 0.325 0.352 0.345
73 Si 0.024 0.674 0.121
74 Si 0.649 0.976 0.121
75 Si 0.674 0.649 0.621
76 Si 0.026 0.675 0.345
77 Si 0.974 0.325 0.845
78 Si 0.675 0.648 0.845